a | ## Cs2I4O11 (PBE)

Data for crystalline Cs2I4O11 at its relaxed geometry.

Crystal system = monoclinic
Symmetry = P2_1/c (14)

```
68
Lattice="7.6089 0.0000 0.0000 0.0000 13.0449 0.0000 0.0000 8.7291 13.8919" Properties=species:S:1:pos:R:3 pbc="T T T"
Cs 5.7436 5.4239 0.8416
Cs 5.7270 5.4377 5.9710
Cs 1.8820 16.3362 7.9209
Cs 1.9392 11.9855 6.1044
Cs 5.6698 9.7885 7.7876
Cs 5.6864 9.8023 12.9170
Cs 1.9225 11.9717 0.9750
Cs 1.8653 16.3500 13.0504
I 5.5241 11.8962 3.7393
I 1.6750 11.6741 13.8136
I 7.3354 6.4963 10.2459
I 0.1432 12.8425 10.1880
I 0.2735 15.2776 3.6460
I 2.1295 7.3096 6.8677
I 3.6613 8.4780 3.2421
I 4.0780 2.1318 3.2999
I 2.0848 9.8778 10.1527
I 3.5309 19.6422 10.5920
I 1.7197 5.5133 3.2067
I 3.9476 13.2960 10.6499
I 5.8893 16.2607 10.6852
I 7.4658 8.9314 3.7039
I 5.4795 14.4644 7.0243
I 5.9339 10.0999 0.0783
O 7.3552 6.6677 8.4338
O 6.7276 7.2851 3.5042
O 6.2394 16.4281 12.4624
O 1.9297 7.7349 10.4861
O 5.7342 18.4036 10.3518
O 1.3696 5.3459 1.4295
O 1.9388 12.0198 9.9925
O 0.2689 9.8513 10.1918
O 2.9231 10.1243 3.4417
O 0.5922 2.0013 1.0768
O 3.5507 19.4708 12.4041
O 5.6702 9.7542 3.8994
O 0.8664 18.1388 10.4817
O 3.5356 5.4868 3.2458
O 1.8747 3.3703 3.5401
O 7.0168 19.7726 12.8151
O 5.6792 14.0391 3.4058
O 6.0169 15.8781 8.0693
O 0.3478 12.4126 12.7776
O 1.5920 5.8958 5.8226
O 4.6708 7.9997 10.3563
O 4.1523 13.7259 8.0603
O 4.3967 15.4081 5.8691
O 6.7426 3.6351 3.4103
O 5.7432 14.1187 10.8454
O 2.2124 10.2604 12.7686
O 0.2538 15.1063 5.4582
O 7.2611 9.3614 1.1143
O 4.0733 16.2872 10.6461
O 2.4349 9.7104 8.3755
O 2.9381 13.7743 3.5357
O 4.0485 8.4636 1.4609
O 0.8813 14.4889 10.3877
O 3.2123 6.3659 8.0228
O 0.2440 8.9459 5.4851
O 4.0582 2.3032 1.4878
O 4.6858 11.6497 10.4502
O 5.1740 12.0636 5.5165
O 1.8657 7.6552 3.0466
O 5.3965 11.5136 1.1234
O 3.5605 13.3104 12.4311
O 3.4566 8.0481 5.8316
O 7.3649 12.8281 8.4068
O 7.3401 11.9226 3.7002
```

---

b | ## Cs2I4O11 (PBE)

Data for crystalline Cs2I4O11 at its relaxed geometry.

Crystal system = hexagonal
Symmetry = P6_3 (173)

```
34
Lattice="1.4691 6.7693 2.6870 -5.6275 -0.9694 -4.7533 -8.7756 -2.4150 10.8822" Properties=species:S:1:pos:R:3 pbc="T T T"
Cs -1.0238 4.1547 0.3648
Cs -7.7771 0.3677 3.3258
Cs -4.5282 1.2618 -0.7031
Cs -6.5505 2.6338 7.2181
I -5.3641 4.0891 2.4926
I -3.1397 1.3390 3.6761
I -2.5995 4.8257 4.8855
I -8.7914 -1.0403 7.8379
I -11.0158 1.7098 6.6544
I -11.5560 -1.7769 5.4450
I -0.5890 -0.1621 0.7304
I -4.9769 -1.3696 6.1716
O -6.5414 -1.0422 0.5494
O -4.5865 1.0839 2.5977
O -7.2782 2.4167 0.7228
O -7.7516 4.0532 9.9517
O -9.7065 1.9272 7.9034
O -7.0148 0.5943 9.7783
O -4.2553 4.1097 1.0619
O -1.8389 1.7552 2.4880
O -1.6932 5.3016 3.3925
O -7.6897 -0.4525 6.5274
O -10.1060 1.9020 5.1013
O -10.2517 -1.6444 4.1968
O -3.8448 3.3784 3.8630
O -10.5981 -0.4087 6.8240
O -2.7736 -0.7633 3.4394
O -7.1614 -1.9708 8.8805
O -1.2629 0.8206 -0.6770
O -4.0857 4.1569 -2.2130
O -4.6641 -0.2093 -3.6484
O -7.4345 3.7303 4.2393
O -4.6117 0.3940 5.7752
O -4.0333 4.7601 7.2107
```

---

Which structure loses on stability? b does.

---

a | ## CsKMg6 (PBE)

Data for crystalline CsKMg6 at its relaxed geometry.

Magnetization = 0.008 Bohr magnetons per cell

```
16
Lattice="-1.2590 -5.3152 0.1660 6.9485 -1.7451 -3.1789 4.9569 -0.8217 11.2862" Properties=species:S:1:pos:R:3 pbc="T T T"
Cs 3.7001 -3.6719 0.4409
Cs 2.7043 -3.2102 7.6734
K 5.1427 -1.1491 2.2092
K 4.1469 -0.6874 9.4418
Mg 5.9342 -1.4568 -1.6407
Mg 1.8000 -0.4185 0.2506
Mg 7.5955 -1.5557 7.7939
Mg 8.7998 -4.6371 8.2178
Mg 5.9952 -3.9327 9.5009
Mg 6.1365 -4.0758 5.9884
Mg 4.9384 -0.9951 5.5918
Mg 7.7527 -1.7019 4.3043
Mg 1.6428 -0.2723 3.7403
Mg 2.8471 -3.3536 4.1641
Mg 6.9910 -4.3944 2.2684
Mg 0.1838 -2.7924 1.9347
```

---

b | ## CsKMg6 (PBE)

Data for crystalline CsKMg6 at its relaxed geometry.

Crystal system = monoclinic
Magnetization = 0.003 Bohr magnetons per cell
Symmetry = Pm (6)

```
8
Lattice="-3.4691 3.5709 -1.0427 -4.0642 -2.5221 4.8849 1.5650 3.7922 7.7801" Properties=species:S:1:pos:R:3 pbc="T T T"
Cs -1.9360 1.2646 10.7720
K 0.0237 2.4235 8.2209
Mg -0.7957 0.4698 4.2563
Mg -2.8429 -0.7978 6.7264
Mg -1.7572 3.3453 4.8958
Mg -3.8016 2.0723 7.3386
Mg -1.9276 2.3099 1.9170
Mg -3.8979 1.1346 4.4473
```

---

Which structure loses on stability? a does.